No. 1
A plane-wave DFT calculation with r2SCAN was carried out for NdHo3 after structural relaxation.

Values from the calculation:
total magnetic moment: 0.0 μB per formula unit
space-group type: No. 65
formation energy: 46 meV/atom
polymorph energy (0 for the lowest one): 41.9 meV per atom
E_tot: -31.970 eV/atom

Cell and atoms, written as POSCAR:
```
NdHo3
1.0
-1.198 -2.226 -4.374
4.007 -3.030 0.445
-2.814 -3.367 2.485
Nd Ho
1 3
Cartesian
-0.005 -8.623 -1.444
-2.006 -2.797 -0.944
0.597 -3.199 1.465
-1.410 -5.995 0.521
```



No. 2
A plane-wave DFT calculation with r2SCAN was carried out for Na3CuO2 after structural relaxation.

Values from the calculation:
total magnetic moment: 0.0 μB per formula unit
space-group type: No. 14
formation energy: -1261 meV/atom
polymorph energy (0 for the lowest one): 5.1 meV per atom
E_tot: -6.841 eV/atom

Cell and atoms, written as POSCAR:
```
Na3CuO2
1.0
-6.501 5.748 -0.364
-3.812 -4.285 0.423
-1.732 -1.497 7.301
Na Cu O
12 4 8
Cartesian
-10.037 1.587 3.624
-7.358 -1.067 4.680
-6.753 2.063 4.860
-2.697 -2.242 6.491
-5.713 -3.241 6.176
-5.716 0.141 7.228
-6.331 -0.176 0.132
-6.333 3.206 1.185
-9.349 2.208 0.870
-5.293 -2.097 2.500
-4.688 1.032 2.680
-2.009 -1.622 3.737
-4.381 -0.424 4.926
-9.461 0.463 6.034
-2.585 -0.497 1.327
-7.665 0.389 2.435
-4.237 -2.176 4.668
-4.477 1.350 5.122
-7.724 0.551 6.396
-11.218 0.327 5.733
-0.828 -0.362 1.627
-4.322 -0.586 0.964
-7.569 -1.384 2.238
-7.810 2.141 2.692
```



No. 3
A plane-wave DFT calculation with r2SCAN was carried out for TbCu2 after structural relaxation.

Values from the calculation:
total magnetic moment: 0.0 μB per formula unit
space-group type: No. 74
formation energy: -267 meV/atom
E_tot: -17.907 eV/atom

Cell and atoms, written as POSCAR:
```
TbCu2
1.0
3.938 0.000 1.706
1.825 4.949 1.185
-0.004 -0.014 5.407
Tb Cu
2 4
Cartesian
3.429 3.495 2.882
2.331 1.440 5.416
4.594 3.538 5.590
1.165 1.397 2.708
3.494 0.557 2.730
2.265 4.378 5.568
```



No. 4
A plane-wave DFT calculation with r2SCAN was carried out for Ca2TlCd after structural relaxation.

Values from the calculation:
total magnetic moment: 0.0 μB per formula unit
space-group type: No. 225
formation energy: -466 meV/atom
E_tot: -22.306 eV/atom

Cell and atoms, written as POSCAR:
```
Ca2TlCd
1.0
0.000 3.831 3.831
3.831 0.000 3.831
3.831 3.831 0.000
Ca Tl Cd
2 1 1
Cartesian
3.831 3.831 3.831
0.000 0.000 0.000
5.747 5.747 5.747
1.916 1.916 1.916
```



No. 5
A plane-wave DFT calculation with r2SCAN was carried out for LiPaPt2 after structural relaxation.

Values from the calculation:
total magnetic moment: 0.0 μB per formula unit
space-group type: No. 225
formation energy: -861 meV/atom
E_tot: -46.415 eV/atom

Cell and atoms, written as POSCAR:
```
LiPaPt2
1.0
-3.565 1.261 2.818
-2.924 3.463 -1.303
-4.442 -1.001 -1.226
Li Pa Pt
1 1 2
Cartesian
-2.733 0.931 0.072
-8.198 2.792 0.217
0.000 0.000 0.000
-5.465 1.862 0.144
```



No. 6
A plane-wave DFT calculation with r2SCAN was carried out for Co2Mo4N after structural relaxation.

Values from the calculation:
total magnetic moment: 0.0 μB per formula unit
space-group type: No. 227
formation energy: -129 meV/atom
E_tot: -20.113 eV/atom

Cell and atoms, written as POSCAR:
```
Co2Mo4N
1.0
-3.672 -6.767 1.877
-2.134 -1.401 7.502
-7.663 0.078 2.020
Co Mo N
8 16 4
Cartesian
-9.896 -2.859 9.207
-10.936 -6.488 5.403
-12.380 -7.436 10.476
-7.197 -7.489 9.110
-3.268 -0.487 3.165
-1.977 -2.702 3.118
-3.766 -2.224 1.344
-4.457 -2.677 3.772
-8.485 -5.051 5.014
-3.520 -4.395 2.363
-10.455 -4.499 7.150
-8.352 -5.062 9.235
-9.749 -7.636 9.949
-8.937 -7.103 7.095
-11.852 -7.073 7.864
-5.570 -5.081 4.245
-4.985 -3.040 6.385
-5.515 -0.972 2.435
-7.088 -2.477 4.300
-7.900 -3.010 7.154
-6.382 -5.614 7.099
-2.751 -1.712 5.176
-1.683 -1.011 1.425
-11.267 -5.032 10.003
-8.418 -5.057 7.124
-6.582 -1.673 6.186
-7.351 -4.356 3.373
-4.587 -5.096 6.114
```



No. 7
A plane-wave DFT calculation with r2SCAN was carried out for TbSi2Au2 after structural relaxation.

Values from the calculation:
total magnetic moment: 0.0 μB per formula unit
space-group type: No. 139
formation energy: -616 meV/atom
E_tot: -30.605 eV/atom

Cell and atoms, written as POSCAR:
```
TbSi2Au2
1.0
-0.762 2.017 -3.655
4.134 0.886 -0.372
-0.983 -5.806 -0.535
Tb Si Au
1 2 2
Cartesian
0.000 0.000 0.000
0.546 -3.378 -1.977
1.844 0.475 -2.586
-0.029 -1.169 -3.102
2.419 -1.734 -1.461
```



No. 8
A plane-wave DFT calculation with r2SCAN was carried out for Hf2Fe after structural relaxation.

Values from the calculation:
total magnetic moment: 0.9 μB per formula unit
space-group type: No. 227
formation energy: -56 meV/atom
E_tot: -34.961 eV/atom

Cell and atoms, written as POSCAR:
```
Hf2Fe
1.0
-7.119 3.492 3.104
-7.408 -4.150 -0.641
-3.664 -3.270 6.957
Hf Fe
16 8
Cartesian
-9.096 -1.964 4.710
-7.264 -0.329 1.232
-5.536 -3.710 3.158
-5.392 0.111 5.030
-5.597 1.907 2.538
-14.735 -1.646 4.495
-8.005 -3.265 7.280
-10.145 0.925 4.892
-12.415 -1.101 9.203
-10.324 -3.810 2.572
-5.776 -2.828 0.217
-3.457 -2.282 4.925
-10.187 -0.664 2.141
-7.867 -0.119 6.848
-12.594 -5.836 6.882
-8.046 -4.854 4.528
-12.990 -2.805 6.726
-6.507 -2.288 5.172
-7.738 0.121 3.799
-7.841 -2.602 2.465
-10.454 -4.049 5.621
-10.351 -1.327 6.955
-11.685 -1.640 4.248
-5.202 -1.123 2.694
```



No. 9
A plane-wave DFT calculation with r2SCAN was carried out for Tl2S5 after structural relaxation.

Values from the calculation:
total magnetic moment: 0.0 μB per formula unit
space-group type: No. 19
formation energy: -196 meV/atom
E_tot: -21.129 eV/atom

Cell and atoms, written as POSCAR:
```
Tl2S5
1.0
6.659 0.000 0.000
0.000 6.797 0.000
0.000 0.000 16.815
Tl S
8 20
Cartesian
2.869 1.336 2.472
6.199 2.063 14.343
3.790 4.734 5.936
0.460 5.462 10.879
1.203 4.101 0.563
4.533 6.095 16.252
5.456 0.703 7.844
2.127 2.696 8.971
6.285 5.111 13.907
2.956 5.084 2.908
0.374 1.713 11.315
3.704 1.686 5.500
1.569 5.619 14.321
4.898 4.577 2.494
5.091 2.220 10.902
1.761 1.179 5.913
6.142 3.832 8.027
2.813 6.364 8.788
0.517 0.433 0.380
3.847 2.965 16.434
0.509 4.249 6.310
3.839 5.947 10.505
6.150 0.851 2.097
2.821 2.548 14.718
0.487 2.565 5.086
3.817 0.833 11.729
6.172 5.964 3.321
2.842 4.232 13.494
```



No. 10
A plane-wave DFT calculation with r2SCAN was carried out for LiScPt2 after structural relaxation.

Values from the calculation:
total magnetic moment: 0.0 μB per formula unit
space-group type: No. 225
formation energy: -1029 meV/atom
E_tot: -30.219 eV/atom

Cell and atoms, written as POSCAR:
```
LiScPt2
1.0
0.000 3.148 3.148
3.148 0.000 3.148
3.148 3.148 0.000
Li Sc Pt
1 1 2
Cartesian
1.574 1.574 1.574
4.722 4.722 4.722
0.000 0.000 0.000
3.148 3.148 3.148
```



No. 11
A plane-wave DFT calculation with r2SCAN was carried out for Ta2Co after structural relaxation.

Values from the calculation:
total magnetic moment: 0.0 μB per formula unit
space-group type: No. 140
formation energy: -171 meV/atom
E_tot: -36.977 eV/atom

Cell and atoms, written as POSCAR:
```
Ta2Co
1.0
4.305 0.000 2.475
2.152 4.302 1.237
0.008 0.000 4.967
Ta Co
4 2
Cartesian
1.772 2.151 1.899
3.233 3.539 4.340
3.233 0.763 4.340
4.693 2.151 6.781
1.076 0.000 0.619
3.229 0.000 1.856
```



No. 12
A plane-wave DFT calculation with r2SCAN was carried out for U8NiS17 after structural relaxation.

Values from the calculation:
total magnetic moment: 14.0 μB per formula unit
space-group type: No. 12
formation energy: -1721 meV/atom
E_tot: -32.032 eV/atom

Cell and atoms, written as POSCAR:
```
U8NiS17
1.0
6.551 4.204 -1.351
6.551 -4.204 -1.351
-0.038 0.000 -10.441
U Ni S
8 1 17
Cartesian
5.767 -2.155 -8.563
5.767 2.155 -8.563
7.297 2.155 -4.580
7.297 -2.155 -4.580
10.399 0.000 -6.890
2.665 0.000 -6.252
4.128 0.000 -1.063
8.936 0.000 -12.080
0.000 0.000 0.000
4.859 -1.653 -5.874
4.859 1.653 -5.874
8.204 1.653 -7.268
8.204 -1.653 -7.268
4.773 -2.596 -11.124
4.773 2.596 -11.124
8.290 2.596 -2.018
8.290 -2.596 -2.018
10.341 0.000 -9.657
2.722 0.000 -3.485
12.367 0.000 -4.898
0.697 0.000 -8.244
9.128 0.000 -4.450
3.936 0.000 -8.693
6.277 0.000 -3.070
6.787 0.000 -10.072
-0.019 0.000 -5.221
```